Entry 1:
The following is a DFT calculation (PBE) of a geometry-optimized Ir2Pb2O7 structure.

abc: 7.368 7.368 7.368
angles: 60.00 60.00 60.00
Sites, in units of the cell vectors:
Ir 0.000 0.000 0.000
Ir 0.000 0.000 0.500
Ir 0.000 0.500 0.000
Ir 0.500 0.000 0.000
Pb 0.000 0.500 0.500
Pb 0.500 0.000 0.500
Pb 0.500 0.500 0.000
Pb 0.500 0.500 0.500
O 0.077 0.077 0.673
O 0.077 0.673 0.077
O 0.077 0.673 0.673
O 0.327 0.327 0.923
O 0.327 0.923 0.327
O 0.327 0.923 0.923
O 0.375 0.375 0.375
O 0.625 0.625 0.625
O 0.673 0.077 0.077
O 0.673 0.077 0.673
O 0.673 0.673 0.077
O 0.923 0.327 0.327
O 0.923 0.327 0.923
O 0.923 0.923 0.327

Computed properties:
Volume = 283 Å³ per cell
DFT formation energy = -1.43 eV per atom

Entry 2:
The following is a DFT calculation (PBE) of a geometry-optimized RbIr6O12 structure.

abc: 8.684 8.684 8.684
angles: 107.71 107.71 113.06
Sites, in units of the cell vectors:
Rb 0.223 0.223 0.000
Rb 0.777 0.777 0.000
Ir 0.018 0.502 0.187
Ir 0.164 0.351 0.516
Ir 0.169 0.982 0.484
Ir 0.315 0.831 0.813
Ir 0.351 0.836 0.187
Ir 0.498 0.685 0.516
Ir 0.502 0.315 0.484
Ir 0.649 0.164 0.813
Ir 0.685 0.169 0.187
Ir 0.831 0.018 0.516
Ir 0.836 0.649 0.484
Ir 0.982 0.498 0.813
O 0.122 0.825 0.613
O 0.126 0.178 0.637
O 0.155 0.794 0.949
O 0.156 0.545 0.701
O 0.175 0.788 0.297
O 0.178 0.541 0.052
O 0.206 0.155 0.362
O 0.212 0.509 0.387
O 0.455 0.156 0.611
O 0.459 0.510 0.637
O 0.490 0.126 0.948
O 0.491 0.878 0.703
O 0.509 0.122 0.297
O 0.510 0.874 0.052
O 0.541 0.490 0.363
O 0.545 0.844 0.389
O 0.788 0.491 0.613
O 0.794 0.845 0.638
O 0.822 0.459 0.948
O 0.825 0.212 0.703
O 0.844 0.455 0.299
O 0.845 0.206 0.051
O 0.874 0.822 0.363
O 0.878 0.175 0.387

Computed properties:
Volume = 503 Å³ per cell
DFT formation energy = -1.26 eV per atom

Entry 3:
The following is a DFT calculation (PBE) of a geometry-optimized Ir2Ru2O5 structure.

abc: 3.428 3.428 8.070
angles: 90.00 90.00 90.00
Sites, in units of the cell vectors:
Ir 0.000 0.000 0.160
Ir 0.000 0.000 0.840
Ru 0.500 0.500 0.000
Ru 0.500 0.500 0.500
O 0.000 0.000 0.500
O 0.000 0.500 0.308
O 0.000 0.500 0.692
O 0.500 0.000 0.308
O 0.500 0.000 0.692

Computed properties:
Volume = 95 Å³ per cell
Magnetization = 0.98 μB/cell
DFT formation energy = -0.04 eV per atom

Entry 4:
The following is a DFT calculation (PBE) of a geometry-optimized Sr2ScIrO6 structure.

abc: 5.690 5.690 5.742
angles: 120.14 120.14 59.94
Sites, in units of the cell vectors:
Sr 0.249 0.249 0.245
Sr 0.751 0.751 0.755
Sc 0.000 0.000 0.500
Ir 0.500 0.500 0.000
O 0.225 0.713 0.212
O 0.257 0.257 0.699
O 0.287 0.775 0.788
O 0.713 0.225 0.212
O 0.743 0.743 0.301
O 0.775 0.287 0.788

Computed properties:
Volume = 131 Å³ per cell
DFT formation energy = -2.81 eV per atom

Entry 5:
The following is a DFT calculation (PBE) of a geometry-optimized Zn2SnIrO6 structure.

abc: 5.338 5.342 9.462
angles: 90.00 124.30 90.00
Sites, in units of the cell vectors:
Zn 0.240 0.029 0.250
Zn 0.240 0.471 0.750
Zn 0.760 0.529 0.250
Zn 0.760 0.971 0.750
Sn 0.000 0.000 0.500
Sn 0.000 0.500 0.000
Ir 0.500 0.000 0.000
Ir 0.500 0.500 0.500
O 0.135 0.095 0.757
O 0.135 0.405 0.257
O 0.245 0.667 0.569
O 0.245 0.833 0.069
O 0.404 0.176 0.567
O 0.404 0.324 0.067
O 0.596 0.676 0.933
O 0.596 0.824 0.433
O 0.755 0.167 0.931
O 0.755 0.333 0.431
O 0.865 0.595 0.743
O 0.865 0.905 0.243

Computed properties:
Volume = 223 Å³ per cell
Magnetization = 1.99 μB/cell
DFT formation energy = -1.58 eV per atom

Entry 6:
The following is a DFT calculation (PBE) of a geometry-optimized Sr2IrO4 structure.

abc: 13.689 13.689 13.689
angles: 156.72 156.72 33.16
Sites, in units of the cell vectors:
Sr 0.050 0.300 0.750
Sr 0.200 0.450 0.750
Sr 0.300 0.050 0.250
Sr 0.450 0.200 0.250
Sr 0.550 0.800 0.750
Sr 0.700 0.950 0.750
Sr 0.800 0.550 0.250
Sr 0.950 0.700 0.250
Ir 0.125 0.875 0.250
Ir 0.375 0.625 0.750
Ir 0.625 0.375 0.250
Ir 0.875 0.125 0.750
O 0.045 0.795 0.250
O 0.064 0.814 0.629
O 0.186 0.314 0.250
O 0.205 0.955 0.250
O 0.295 0.545 0.750
O 0.314 0.564 0.129
O 0.436 0.064 0.750
O 0.455 0.705 0.750
O 0.545 0.295 0.250
O 0.564 0.936 0.250
O 0.686 0.436 0.871
O 0.705 0.455 0.250
O 0.795 0.045 0.750
O 0.814 0.686 0.750
O 0.936 0.186 0.371
O 0.955 0.205 0.750

Computed properties:
Volume = 400 Å³ per cell
Magnetization = 0.00 μB/cell
DFT formation energy = -2.37 eV per atom

Entry 7:
The following is a DFT calculation (PBE) of a geometry-optimized Sr5Ir6O18 structure.

abc: 8.147 8.147 8.147
angles: 109.47 109.47 109.47
Sites, in units of the cell vectors:
Sr 0.000 0.000 0.000
Sr 0.000 0.000 0.500
Sr 0.000 0.500 0.000
Sr 0.500 0.000 0.000
Sr 0.500 0.500 0.500
Ir 0.155 0.655 0.500
Ir 0.345 0.500 0.845
Ir 0.500 0.155 0.655
Ir 0.500 0.845 0.345
Ir 0.655 0.500 0.155
Ir 0.845 0.345 0.500
O 0.000 0.348 0.348
O 0.000 0.652 0.652
O 0.046 0.335 0.711
O 0.289 0.624 0.335
O 0.289 0.954 0.665
O 0.335 0.289 0.624
O 0.335 0.711 0.046
O 0.348 0.000 0.348
O 0.348 0.348 0.000
O 0.376 0.665 0.711
O 0.624 0.335 0.289
O 0.652 0.000 0.652
O 0.652 0.652 0.000
O 0.665 0.289 0.954
O 0.665 0.711 0.376
O 0.711 0.046 0.335
O 0.711 0.376 0.665
O 0.954 0.665 0.289

Computed properties:
Volume = 416 Å³ per cell
Magnetization = 0.00 μB/cell
DFT formation energy = -1.85 eV per atom

Entry 8:
The following is a DFT calculation (PBE) of a geometry-optimized Sr2IrO4 structure.

abc: 6.970 6.970 6.970
angles: 147.04 147.04 47.30
Sites, in units of the cell vectors:
Sr 0.146 0.146 0.000
Sr 0.854 0.854 0.000
Ir 0.500 0.500 0.000
O 0.000 0.500 0.500
O 0.337 0.337 0.000
O 0.500 0.000 0.500
O 0.663 0.663 0.000

Computed properties:
Volume = 100 Å³ per cell
Magnetization = 0.77 μB/cell
DFT formation energy = -2.33 eV per atom

Entry 9:
The following is a DFT calculation (PBE) of a geometry-optimized Sr2IrO4 structure.

abc: 7.815 7.868 15.477
angles: 81.85 84.69 89.02
Sites, in units of the cell vectors:
Sr 0.000 0.000 0.000
Sr 0.000 0.252 0.322
Sr 0.017 0.497 0.953
Sr 0.082 0.435 0.513
Sr 0.231 0.898 0.793
Sr 0.253 0.810 0.370
Sr 0.404 0.658 0.604
Sr 0.478 0.402 0.358
Sr 0.480 0.413 0.881
Sr 0.547 0.707 0.152
Sr 0.606 0.155 0.706
Sr 0.669 0.840 0.920
Sr 0.700 0.269 0.115
Sr 0.766 0.738 0.421
Sr 0.812 0.668 0.705
Sr 0.991 0.649 0.218
Ir 0.064 0.996 0.600
Ir 0.135 0.338 0.752
Ir 0.180 0.014 0.164
Ir 0.275 0.314 0.096
Ir 0.395 0.050 0.029
Ir 0.441 0.068 0.479
Ir 0.715 0.107 0.518
Ir 0.881 0.238 0.838
O 0.022 0.974 0.269
O 0.025 0.585 0.371
O 0.036 0.212 0.108
O 0.057 0.840 0.522
O 0.076 0.166 0.675
O 0.096 0.523 0.664
O 0.204 0.518 0.820
O 0.225 0.428 0.198
O 0.229 0.198 0.442
O 0.274 0.800 0.206
O 0.294 0.952 0.945
O 0.315 0.993 0.593
O 0.332 0.212 0.785
O 0.369 0.575 0.467
O 0.464 0.461 0.050
O 0.480 0.054 0.364
O 0.513 0.830 0.721
O 0.526 0.736 0.811
O 0.587 0.816 0.296
O 0.623 0.997 0.062
O 0.641 0.455 0.646
O 0.648 0.153 0.869
O 0.673 0.647 0.289
O 0.706 0.252 0.267
O 0.721 0.583 0.574
O 0.764 0.601 0.037
O 0.785 0.309 0.451
O 0.796 0.475 0.853
O 0.801 0.408 0.224
O 0.807 0.981 0.618
O 0.915 0.709 0.050
O 0.937 0.971 0.851

Computed properties:
Volume = 938 Å³ per cell
Magnetization = 4.06 μB/cell
DFT formation energy = -1.70 eV per atom

Entry 10:
The following is a DFT calculation (PBE) of a geometry-optimized Sr4ZnIr3O12 structure.

abc: 5.643 5.674 7.964
angles: 89.57 89.91 89.95
Sites, in units of the cell vectors:
Sr 0.003 0.466 0.242
Sr 0.490 0.962 0.242
Sr 0.510 0.038 0.758
Sr 0.997 0.534 0.758
Zn 0.500 0.500 0.000
Ir 0.000 0.000 0.000
Ir 0.000 0.000 0.500
Ir 0.500 0.500 0.500
O 0.074 0.987 0.751
O 0.202 0.701 0.462
O 0.207 0.724 0.032
O 0.275 0.210 0.030
O 0.298 0.203 0.463
O 0.440 0.493 0.741
O 0.560 0.507 0.259
O 0.702 0.797 0.537
O 0.725 0.790 0.970
O 0.793 0.276 0.968
O 0.798 0.299 0.538
O 0.926 0.013 0.249

Computed properties:
Volume = 255 Å³ per cell
Magnetization = 4.95 μB/cell
DFT formation energy = -2.09 eV per atom

Entry 11:
The following is a DFT calculation (PBE) of a geometry-optimized TeIrO6 structure.

abc: 5.014 5.240 8.851
angles: 90.00 124.41 90.00
Sites, in units of the cell vectors:
Te 0.000 0.000 0.000
Te 0.000 0.500 0.500
Ir 0.500 0.000 0.500
Ir 0.500 0.500 0.000
O 0.119 0.038 0.254
O 0.119 0.462 0.754
O 0.246 0.677 0.069
O 0.246 0.823 0.569
O 0.399 0.181 0.067
O 0.399 0.319 0.567
O 0.601 0.681 0.433
O 0.601 0.819 0.933
O 0.754 0.177 0.431
O 0.754 0.323 0.931
O 0.881 0.538 0.246
O 0.881 0.962 0.746

Computed properties:
Volume = 192 Å³ per cell
Magnetization = 0.07 μB/cell
DFT formation energy = -1.12 eV per atom

Entry 12:
The following is a DFT calculation (PBE) of a geometry-optimized Y2Ir2O7 structure.

abc: 7.257 7.257 7.257
angles: 60.00 60.00 60.00
Sites, in units of the cell vectors:
Y 0.000 0.000 0.000
Y 0.000 0.000 0.500
Y 0.000 0.500 0.000
Y 0.500 0.000 0.000
Ir 0.000 0.500 0.500
Ir 0.500 0.000 0.500
Ir 0.500 0.500 0.000
Ir 0.500 0.500 0.500
O 0.125 0.125 0.125
O 0.163 0.163 0.587
O 0.163 0.587 0.163
O 0.163 0.587 0.587
O 0.413 0.413 0.837
O 0.413 0.837 0.413
O 0.413 0.837 0.837
O 0.587 0.163 0.163
O 0.587 0.163 0.587
O 0.587 0.587 0.163
O 0.837 0.413 0.413
O 0.837 0.413 0.837
O 0.837 0.837 0.413
O 0.875 0.875 0.875

Computed properties:
Volume = 270 Å³ per cell
DFT formation energy = -2.51 eV per atom